! Li2CoC2O6, optimized geometry, DFT PBE+U; values from VASP
! Total energy after the MP2020 corrections, eV/atom: -7.330
! Formation energy, eV per atom: -1.960
! Symmetry: P2_1/c, No. 14
! Excess energy over the best structure of this formula in the dataset, meV/atom: 3
! Calculated volume, Å³ per cell: 561
&SYSTEM
  ibrav = 0, nat = 44, ntyp = 4
/
ATOMIC_SPECIES
O 16.00 O.upf
Li 6.94 Li.upf
C 12.01 C.upf
Co 58.93 Co.upf
ATOMIC_POSITIONS angstrom
O -13.319 -2.873 -5.395
O -7.412 -4.749 -2.831
O -8.078 -1.503 -5.977
O -9.415 -0.710 -4.313
Li -10.545 -5.271 -4.681
O -7.793 1.668 -3.350
O -6.679 -3.769 -0.395
C -7.815 -4.267 -3.952
O -6.135 0.822 -2.095
O -7.126 -1.578 -0.205
Co -6.427 0.350 -0.015
Li -10.104 1.127 -1.015
O -11.313 -6.905 -3.913
O -3.545 0.633 -2.039
C -12.912 -3.353 -4.272
O -3.955 -0.812 -4.312
C -11.842 -1.310 -1.250
O -3.511 -3.002 -4.504
Li -10.179 -2.349 -3.536
C -7.389 1.186 -2.229
O -8.526 0.688 -5.787
O -5.789 -2.371 -1.868
O -4.981 1.810 -5.300
O -3.891 3.824 -2.269
C -6.531 -2.537 -0.820
Li -5.025 -0.732 -2.645
O -9.069 -3.903 -4.087
O -7.058 -4.127 -4.993
O -10.224 -4.891 -0.881
O -11.693 -0.080 -1.678
C -2.292 0.271 -1.909
C -3.362 -1.771 -4.931
O -8.146 1.046 -1.188
Li -8.268 -4.967 -1.051
Co -2.351 -3.782 -6.151
O -1.885 -0.208 -0.787
Li -4.660 2.190 -1.501
Li -6.936 1.885 -5.131
Li -5.100 -4.209 -5.166
O -11.659 -3.714 -4.143
O -11.249 -2.269 -1.869
Co -9.684 1.460 -4.141
C -8.673 -0.545 -5.362
Co -3.258 1.110 -4.126
CELL_PARAMETERS angstrom
-2.351 -3.782 -6.151
-8.689 -5.301 2.070
-4.165 6.001 -2.101

! Li2CoC2O6, optimized geometry, DFT PBE+U; values from VASP
! Total energy after the MP2020 corrections, eV/atom: -7.312
! Formation energy, eV per atom: -1.942
! Excess energy over the best structure of this formula in the dataset, meV/atom: 21
! Calculated volume, Å³ per cell: 492
&SYSTEM
  ibrav = 0, nat = 44, ntyp = 4
/
ATOMIC_SPECIES
C 12.01 C.upf
O 16.00 O.upf
Co 58.93 Co.upf
Li 6.94 Li.upf
ATOMIC_POSITIONS angstrom
C -5.569 -5.621 -0.824
O -4.704 -2.886 1.387
O -5.197 -0.689 1.161
O -0.751 -2.000 -0.407
O -2.132 -4.754 -1.403
C -2.510 -13.701 -0.826
O -5.475 -8.509 1.105
Co -0.032 -0.012 0.000
O -5.587 -6.729 -1.529
O -1.355 -0.937 1.451
Co -3.724 -11.665 -0.088
C -4.933 -9.586 0.645
Co -0.310 -7.831 -0.057
C -1.337 -2.036 0.750
O -3.150 -13.682 0.306
Li -4.407 -8.298 -1.948
O -6.201 -5.639 0.309
Li -4.642 -12.024 -3.185
C -5.848 -13.440 -0.882
O -1.634 -8.756 1.395
C -1.616 -9.855 0.693
Li -3.013 -14.946 1.788
O -5.865 -14.547 -1.587
Li -4.129 -0.479 -1.892
Co -3.446 -3.846 -0.031
O -5.257 -12.383 -1.326
O -4.979 -4.565 -1.268
C -4.654 -1.767 0.702
O -2.118 -10.958 1.163
O -4.014 -1.802 -0.425
O -2.411 -12.572 -1.460
Li -4.365 -4.205 -3.127
O -2.871 -5.863 0.364
O -4.293 -9.621 -0.481
O -1.839 -3.140 1.220
O -6.479 -13.457 0.251
O -4.983 -10.706 1.330
O -1.747 -6.978 -1.261
O -2.026 -14.797 -1.318
Li -3.379 -11.022 2.752
C -2.231 -5.882 -0.769
Li -3.100 -3.204 2.809
Li -2.735 -7.127 1.846
O -1.030 -9.819 -0.464
CELL_PARAMETERS angstrom
-2.085 0.022 4.745
-4.515 0.175 -4.790
-0.556 -15.637 -0.114

! Li2CoC2O6, optimized geometry, DFT PBE+U; values from VASP
! Total energy after the MP2020 corrections, eV/atom: -7.256
! Formation energy, eV per atom: -1.886
! Symmetry: P2_1, No. 4
! Excess energy over the best structure of this formula in the dataset, meV/atom: 77
! Calculated volume, Å³ per cell: 546
&SYSTEM
  ibrav = 0, nat = 44, ntyp = 4
/
ATOMIC_SPECIES
Co 58.93 Co.upf
O 16.00 O.upf
Li 6.94 Li.upf
C 12.01 C.upf
ATOMIC_POSITIONS angstrom
Co -3.411 -0.671 0.375
O -12.837 3.050 2.483
Li -6.729 2.809 1.650
O -1.599 0.237 0.220
O -14.635 1.218 4.573
O -7.350 -5.421 3.916
O -5.674 -3.955 1.701
O -5.521 3.555 3.108
O -5.274 6.277 2.594
Li -9.137 -1.101 -0.303
O -11.074 -3.301 3.203
Li -5.196 0.466 2.363
O -11.549 1.227 4.884
O -8.858 -3.843 1.613
O -8.405 -2.594 3.963
Co -10.540 -0.327 4.112
C -5.338 7.584 2.498
C -11.690 1.416 6.156
Li -10.257 -4.980 2.633
O -8.956 0.606 3.280
O -5.612 2.786 0.032
O -2.731 3.445 1.779
Co -6.730 5.216 3.489
C -5.105 2.862 4.128
O -4.752 -2.007 1.074
O -4.577 1.691 3.896
Li -4.158 4.751 2.107
O -12.158 -1.557 4.161
C -4.635 -3.242 1.470
Li -11.106 2.432 3.409
C -4.810 1.810 -0.277
O -7.062 0.945 2.123
O -7.408 4.682 1.542
O -3.085 -0.321 2.529
O -4.382 1.058 0.685
Li -7.242 -3.773 2.849
Li -7.109 3.908 6.045
O -8.319 -0.846 1.652
C -8.110 0.245 2.359
C -12.087 -2.824 3.887
O -11.573 0.495 2.345
O -8.259 4.204 4.270
Co -9.711 -2.087 2.358
C -8.776 -3.975 0.321
CELL_PARAMETERS angstrom
-4.816 7.981 2.631
-6.357 -2.857 -2.971
-3.947 -4.183 5.466

! Li2CoC2O6, optimized geometry, DFT PBE+U; values from VASP
! Total energy after the MP2020 corrections, eV/atom: -7.282
! Formation energy, eV per atom: -1.912
! Symmetry: Cc, No. 9
! Excess energy over the best structure of this formula in the dataset, meV/atom: 51
! Calculated volume, Å³ per cell: 250
&SYSTEM
  ibrav = 0, nat = 22, ntyp = 4
/
ATOMIC_SPECIES
O 16.00 O.upf
C 12.01 C.upf
Li 6.94 Li.upf
Co 58.93 Co.upf
ATOMIC_POSITIONS angstrom
O 5.661 1.262 -0.192
O 7.232 -1.779 -2.355
O 7.741 -0.638 0.185
O 5.019 2.850 -1.648
C 10.935 2.027 -1.582
Li 9.903 -0.199 -3.356
O 2.947 -0.596 -3.330
O 3.585 -1.047 -1.213
C 4.701 1.995 -0.709
O 11.672 1.902 -0.502
O 5.006 -0.028 -2.629
O 9.973 1.222 -1.821
Li 5.504 1.304 -4.040
Li 9.457 0.358 -0.051
O 9.461 -1.684 -2.085
Li 3.327 0.042 0.558
C 11.809 1.299 -4.535
O 8.684 2.113 0.799
Co 14.455 1.134 -3.714
Co 6.350 -0.357 -1.205
C 3.839 -0.561 -2.367
O 6.606 -0.109 -5.124
CELL_PARAMETERS angstrom
7.893 -0.521 3.666
3.114 -1.977 -4.805
3.467 3.648 -2.587

! Li3Co2C4O12, optimized geometry, DFT PBE+U; values from VASP
! Total energy after the MP2020 corrections, eV/atom: -7.306
! Formation energy, eV per atom: -1.771
! Symmetry: P2_1, No. 4
! Excess energy over the best structure of this formula in the dataset, meV/atom: 84
! Calculated volume, Å³ per cell: 550
&SYSTEM
  ibrav = 0, nat = 42, ntyp = 4
/
ATOMIC_SPECIES
O 16.00 O.upf
C 12.01 C.upf
Co 58.93 Co.upf
Li 6.94 Li.upf
ATOMIC_POSITIONS angstrom
O 4.000 0.971 0.859
C 1.110 3.521 0.220
Co 1.360 7.676 5.431
Li 5.880 7.047 4.823
O 8.537 5.717 5.498
O 7.719 8.167 4.709
O 1.237 2.425 6.415
Li 3.739 7.962 7.294
O 1.026 5.766 5.037
O 4.690 6.357 7.919
O 5.039 6.071 0.404
Co 6.220 2.339 2.614
Co 3.581 2.669 1.578
O 1.933 6.799 7.314
C 8.598 1.473 3.814
O 0.179 3.943 7.640
O 0.142 8.346 3.997
O 9.550 3.658 0.125
O 6.792 3.215 0.730
C 9.572 5.201 4.847
O 8.204 1.993 2.695
C 3.739 8.541 4.231
Li 8.599 2.052 0.750
C 5.052 7.218 0.960
C 5.970 6.494 7.825
C 4.713 4.813 3.198
O 8.859 9.043 7.185
Li 1.757 4.682 6.564
O 5.885 4.248 3.007
O 3.345 8.022 5.349
O 2.860 1.847 3.335
Li 1.020 2.967 3.222
O 9.448 4.187 4.134
C 0.193 2.796 7.084
O 3.677 4.297 2.547
O 6.097 7.590 1.629
O 4.588 5.827 3.910
Co 8.440 7.345 6.467
Li 6.616 5.332 1.480
O 1.600 2.988 1.313
O 6.459 7.026 6.732
O 5.002 1.668 4.048
CELL_PARAMETERS angstrom
9.719 0.000 0.000
0.000 7.035 0.000
0.000 2.979 8.045

! Li2CoC2O6, optimized geometry, DFT PBE+U; values from VASP
! Total energy after the MP2020 corrections, eV/atom: -7.307
! Formation energy, eV per atom: -1.937
! Symmetry: P1, No. 1
! Excess energy over the best structure of this formula in the dataset, meV/atom: 27
! Calculated volume, Å³ per cell: 241
&SYSTEM
  ibrav = 0, nat = 22, ntyp = 4
/
ATOMIC_SPECIES
O 16.00 O.upf
C 12.01 C.upf
Li 6.94 Li.upf
Co 58.93 Co.upf
ATOMIC_POSITIONS angstrom
O -3.171 -2.103 -4.239
O -4.724 -4.522 -4.163
O -0.138 -6.579 -6.375
C -2.999 -1.652 -3.032
O -0.630 -3.630 -4.063
Li -0.366 -2.795 -1.869
C -0.337 -2.417 -4.407
O -4.806 -6.199 -0.157
Co -0.044 0.002 -5.091
O -2.049 -7.695 -2.764
Li -3.021 -1.279 -0.490
O -2.791 -5.637 -2.221
O -2.548 -2.496 -2.144
C -5.007 -5.738 -4.506
O -2.154 -6.019 -4.307
Co -2.704 -4.070 -3.714
O -5.210 -1.574 -0.768
O -0.508 -1.971 -5.616
Li -5.084 -5.361 -1.942
Li -2.425 -6.857 -6.094
O -3.291 -0.439 -2.690
C -2.334 -6.478 -3.105
CELL_PARAMETERS angstrom
-0.022 0.002 -5.550
-0.013 -8.144 -2.772
-5.324 -0.002 2.754